1.
Computed, not measured: ThSi2Ni after structural relaxation at the r²SCAN level of DFT.

Cell lengths 4.1436, 16.3659, 4.0886 Å; angles 90.00, 90.00, 90.00 degrees
Space group Cmcm (No. 63)
Symmetry-distinct sites (fractional):
Th 0.0000 0.1064 0.2500
Si 0.0000 0.2491 0.7500
Si 0.0000 0.4606 0.2500
Ni 0.0000 0.3193 0.2500


2.
Computed, not measured: TlHgF3 after structural relaxation at the r²SCAN level of DFT.

Cell lengths 4.5193, 4.5265, 4.5402 Å; angles 88.13, 89.72, 89.60 degrees
Space group P1 (No. 1)
Symmetry-distinct sites (fractional):
Tl 0.0000 0.0000 0.0000
Hg 0.4795 0.5269 0.4648
F 0.4454 0.0415 0.3822
F 0.4563 0.6065 0.9485
F 0.9749 0.5756 0.3965


3.
Computed, not measured: ScFe6Ge6 after structural relaxation at the r²SCAN level of DFT.

Cell lengths 5.0531, 5.0531, 8.1376 Å; angles 90.00, 90.00, 120.00 degrees
Space group P6/mmm (No. 191)
Symmetry-distinct sites (fractional):
Sc 0.0000 0.0000 0.0000
Fe 0.0000 0.5000 0.2489
Ge 0.0000 0.0000 0.3430
Ge 0.3333 0.6667 0.0000
Ge 0.3333 0.6667 0.5000


4.
Computed, not measured: TmMg3 after structural relaxation at the r²SCAN level of DFT.

Cell lengths 4.9337, 4.9337, 4.0121 Å; angles 90.00, 90.00, 90.00 degrees
Space group P4/mmm (No. 123)
Symmetry-distinct sites (fractional):
Tm 0.0000 0.0000 0.0000
Mg 0.0000 0.5000 0.5000
Mg 0.5000 0.5000 0.0000


5.
Computed, not measured: Er5In4Pt2 after structural relaxation at the r²SCAN level of DFT.

Cell lengths 7.9632, 18.0080, 3.6196 Å; angles 90.00, 90.00, 90.00 degrees
Space group Pbam (No. 55)
Symmetry-distinct sites (fractional):
Er 0.0000 0.0000 0.0000
Er 0.1145 0.4156 0.0000
Er 0.2447 0.2214 0.0000
In 0.0746 0.8521 0.5000
In 0.2108 0.5676 0.5000
Pt 0.0273 0.3041 0.5000


6.
Computed, not measured: VAgSeO5 after structural relaxation at the r²SCAN level of DFT.

Cell lengths 4.0781, 20.2389, 5.2356 Å; angles 90.00, 90.00, 90.00 degrees
Space group Pbcm (No. 57)
Symmetry-distinct sites (fractional):
V 0.0632 0.1923 0.2500
Ag 0.1280 0.5182 0.2500
Se 0.3008 0.6217 0.7500
O 0.0245 0.6195 0.0041
O 0.0252 0.7500 0.0000
O 0.3870 0.5402 0.7500
O 0.4594 0.1867 0.2500


7.
Computed, not measured: InNi3 after structural relaxation at the r²SCAN level of DFT.

Cell lengths 3.7005, 3.7005, 3.7005 Å; angles 90.00, 90.00, 90.00 degrees
Space group Pm-3m (No. 221)
Symmetry-distinct sites (fractional):
In 0.0000 0.0000 0.0000
Ni 0.0000 0.5000 0.5000


8.
Computed, not measured: YNiO3 after structural relaxation at the r²SCAN level of DFT.

Cell lengths 5.5063, 7.3876, 5.1637 Å; angles 90.00, 90.00, 90.00 degrees
Space group Pnma (No. 62)
Symmetry-distinct sites (fractional):
Y 0.0730 0.2500 0.0190
Ni 0.0000 0.0000 0.5000
O 0.0279 0.7500 0.4014
O 0.1969 0.5497 0.8043


Calculated formation enthalpy at 0 K in order - -862, -1686, -203, -30, -955, -1437, -27, -2547 meV/atom
Calculated volume in order - 277.3, 92.8, 179.9, 97.7, 519.1, 432.1, 50.7, 210.0 Å³ per cell